[1]
Here is crystalline YCu3Sn4O12 at its relaxed geometry from the Materials Project. Energies are from PBE.

Properties
Total DFT energy (no corrections), eV/cell: -123.76
Symmetry: Im-3 (204)

a b c (Å): 6.7463 6.7463 6.7463
angles (deg): 109.47 109.47 109.47
Sites, in units of the cell vectors:
Cu 0.5000 0.5000 0.0000
O 0.5349 0.8318 0.7031
O 0.2969 0.1286 0.8318
O 0.8714 0.1682 0.7031
O 0.1682 0.2969 0.4651
Sn 0.0000 0.0000 0.5000
Cu 0.5000 0.0000 0.5000
O 0.1286 0.8318 0.2969
Sn 0.0000 0.5000 0.0000
O 0.7031 0.8714 0.1682
O 0.1682 0.7031 0.8714
Sn 0.5000 0.0000 0.0000
O 0.8318 0.7031 0.5349
O 0.7031 0.5349 0.8318
Sn 0.5000 0.5000 0.5000
Cu 0.0000 0.5000 0.5000
Y 0.0000 0.0000 0.0000
O 0.2969 0.4651 0.1682
O 0.8318 0.2969 0.1286
O 0.4651 0.1682 0.2969

[2]
Here is crystalline Li4Pr3Ge4 at its relaxed geometry from the Materials Project. Energies are from PBE.

Properties
Total DFT energy (no corrections), eV/cell: -47.78
Symmetry: Immm (71)

a b c (Å): 4.4683 6.8994 8.4924
angles (deg): 113.97 105.25 90.00
Sites, in units of the cell vectors:
Pr 0.0000 0.0000 0.0000
Li 0.3292 0.0194 0.6583
Ge 0.7869 0.7869 0.5738
Pr 0.1313 0.6313 0.2626
Ge 0.2131 0.2131 0.4262
Pr 0.8687 0.3687 0.7374
Li 0.6708 0.9806 0.3417
Li 0.3292 0.6389 0.6583
Ge 0.5000 0.6840 0.0000
Ge 0.5000 0.3160 0.0000
Li 0.6708 0.3611 0.3417

[3]
Here is crystalline K2NaTlF6 at its relaxed geometry from the Materials Project. Energies are from PBE.

Properties
Total DFT energy (no corrections), eV/cell: -41.62
Symmetry: Fm-3m (225)

a b c (Å): 6.2872 6.2872 6.2872
angles (deg): 60.00 60.00 60.00
Sites, in units of the cell vectors:
F 0.7541 0.2459 0.2459
F 0.2459 0.7541 0.7541
K 0.2500 0.2500 0.2500
Tl 0.0000 0.0000 0.0000
K 0.7500 0.7500 0.7500
Na 0.5000 0.5000 0.5000
F 0.2459 0.7541 0.2459
F 0.7541 0.2459 0.7541
F 0.2459 0.2459 0.7541
F 0.7541 0.7541 0.2459

[4]
Here is crystalline Tb3Al at its relaxed geometry from the Materials Project. Energies are from PBE.

Properties
Total DFT energy (no corrections), eV/cell: -18.38
Symmetry: Pm-3m (221)

a b c (Å): 4.7753 4.7753 4.7753
angles (deg): 90.00 90.00 90.00
Sites, in units of the cell vectors:
Tb 0.5000 0.0000 0.5000
Tb 0.0000 0.5000 0.5000
Tb 0.5000 0.5000 0.0000
Al 0.0000 0.0000 0.0000

[5]
Here is crystalline CuH12SeN4O4 at its relaxed geometry from the Materials Project. Energies are from PBE.

Properties
Total DFT energy (no corrections), eV/cell: -431.71
Symmetry: P2_1/c (14)

a b c (Å): 11.1055 7.8234 12.1352
angles (deg): 64.24 90.00 90.00
Sites, in units of the cell vectors:
H 0.8939 0.1723 0.6113
N 0.6397 0.3715 0.8238
H 0.1061 0.8277 0.3887
N 0.8111 0.1131 0.6120
Cu 0.7281 0.2810 0.4572
H 0.1722 0.0180 0.3859
H 0.2288 0.9101 0.3067
O 0.6122 0.7871 0.0757
N 0.4679 0.4885 0.6205
H 0.9550 0.2934 0.8299
N 0.6889 0.1131 0.1120
H 0.4693 0.4246 0.4409
O 0.9295 0.7240 0.3730
O 0.5705 0.7240 0.8730
Cu 0.2281 0.7190 0.0428
N 0.9679 0.5115 0.8795
O 0.2846 0.1088 0.6071
H 0.8278 0.9820 0.6141
H 0.3839 0.4966 0.1840
Cu 0.2719 0.7190 0.5428
H 0.9066 0.9007 0.0697
H 0.3939 0.8277 0.8887
O 0.7846 0.8912 0.8929
O 0.7487 0.5161 0.0418
Se 0.1691 0.2853 0.5226
O 0.2154 0.1088 0.1071
O 0.3878 0.2129 0.9243
H 0.5621 0.2926 0.8489
H 0.5450 0.2934 0.3299
H 0.8514 0.8125 0.8858
H 0.8688 0.4812 0.7531
H 0.9184 0.9252 0.1226
O 0.2487 0.4839 0.4582
H 0.3514 0.1875 0.6142
H 0.4550 0.7066 0.6701
H 0.1605 0.6116 0.7625
H 0.4379 0.7074 0.1511
H 0.9693 0.5754 0.0591
O 0.7513 0.5161 0.5418
H 0.6161 0.5034 0.8160
Cu 0.7719 0.2810 0.9572
N 0.9046 0.3975 0.8372
N 0.4046 0.6025 0.6628
N 0.5321 0.5115 0.3795
H 0.0934 0.0993 0.9303
H 0.0621 0.7074 0.6511
Se 0.6691 0.7147 0.9774
H 0.3395 0.6116 0.2625
H 0.6722 0.9820 0.1141
H 0.7712 0.0899 0.6933
H 0.0816 0.0748 0.8774
H 0.5934 0.9007 0.5697
H 0.1161 0.4966 0.6840
O 0.1122 0.2129 0.4243
Se 0.3309 0.2853 0.0226
Se 0.8309 0.7147 0.4774
H 0.3688 0.5188 0.7469
N 0.1889 0.8869 0.3880
H 0.6486 0.8125 0.3858
N 0.3603 0.6285 0.1762
H 0.1486 0.1875 0.1142
O 0.2513 0.4839 0.9582
O 0.7154 0.8912 0.3929
H 0.0450 0.7066 0.1701
H 0.5307 0.5754 0.5591
H 0.6061 0.1723 0.1113
H 0.9379 0.2926 0.3489
H 0.1312 0.5188 0.2469
N 0.3111 0.8869 0.8880
H 0.3278 0.0180 0.8859
O 0.4295 0.2760 0.1270
H 0.8395 0.3884 0.2375
H 0.0307 0.4246 0.9409
H 0.7288 0.0899 0.1933
O 0.0705 0.2760 0.6270
H 0.4184 0.0748 0.3774
H 0.5816 0.9252 0.6226
N 0.5954 0.3975 0.3372
H 0.4066 0.0993 0.4303
N 0.0321 0.4885 0.1205
H 0.6605 0.3884 0.7375
H 0.6312 0.4812 0.2531
O 0.8878 0.7871 0.5757
N 0.0954 0.6025 0.1628
N 0.1397 0.6285 0.6762
H 0.2712 0.9101 0.8067
H 0.8839 0.5034 0.3160
N 0.8603 0.3715 0.3238

[6]
Here is crystalline Cs6Ho21Te34Cl at its relaxed geometry from the Materials Project. Energies are from PBE.

Properties
Total DFT energy (no corrections), eV/cell: -298.99
Symmetry: C2/m (12)

a b c (Å): 14.4667 14.4667 14.4551
angles (deg): 65.76 65.76 97.66
Sites, in units of the cell vectors:
Te 0.5409 0.3418 0.1872
Te 0.2657 0.8656 0.8123
Te 0.3418 0.5409 0.1872
Te 0.1344 0.7343 0.1877
Te 0.3840 0.9870 0.4413
Ho 0.9018 0.0982 0.0000
Te 0.6582 0.4592 0.8128
Te 0.5685 0.5685 0.3092
Ho 0.1699 0.5725 0.3775
Te 0.4162 0.2121 0.5626
Te 0.7343 0.1344 0.1877
Ho 0.8301 0.4275 0.6225
Ho 0.2449 0.2449 0.7478
Cs 0.2199 0.2199 0.4255
Te 0.6160 0.0130 0.5587
Te 0.3124 0.3124 0.0662
Te 0.2121 0.4162 0.5626
Cs 0.9578 0.1946 0.2768
Cs 0.8054 0.0422 0.7232
Ho 0.0460 0.4578 0.7507
Cs 0.7801 0.7801 0.5745
Cl 0.0000 0.0000 0.5000
Ho 0.5294 0.7337 0.1107
Te 0.6367 0.2414 0.6895
Te 0.5144 0.1141 0.0627
Ho 0.9540 0.5422 0.2493
Te 0.9408 0.9408 0.1868
Te 0.9870 0.3840 0.4413
Te 0.7112 0.9120 0.0678
Ho 0.5000 0.5000 0.0000
Ho 0.3004 0.6996 0.0000
Ho 0.0982 0.9018 0.0000
Cs 0.1946 0.9578 0.2768
Te 0.4315 0.4315 0.6908
Te 0.0592 0.0592 0.8132
Ho 0.3988 0.6012 0.5000
Te 0.9120 0.7112 0.0678
Ho 0.4578 0.0460 0.7507
Ho 0.4275 0.8301 0.6225
Ho 0.6996 0.3004 0.0000
Ho 0.4706 0.2663 0.8893
Te 0.0130 0.6160 0.5587
Ho 0.2663 0.4706 0.8893
Te 0.7586 0.3633 0.3105
Te 0.8859 0.4856 0.9373
Te 0.3633 0.7586 0.3105
Te 0.4856 0.8859 0.9373
Cs 0.0422 0.8054 0.7232
Te 0.8656 0.2657 0.8123
Te 0.5838 0.7879 0.4374
Te 0.1141 0.5144 0.0627
Ho 0.5725 0.1699 0.3775
Te 0.4592 0.6582 0.8128
Te 0.2414 0.6367 0.6895
Te 0.2888 0.0880 0.9322
Te 0.7879 0.5838 0.4374
Ho 0.7551 0.7551 0.2522
Te 0.0880 0.2888 0.9322
Ho 0.6012 0.3988 0.5000
Ho 0.5422 0.9540 0.2493
Te 0.6876 0.6876 0.9338
Ho 0.7337 0.5294 0.1107

[7]
Here is crystalline CaSmMgNbO6 at its relaxed geometry from the Materials Project. Energies are from PBE.

Properties
Total DFT energy (no corrections), eV/cell: -156.15
Symmetry: Pc (7)

a b c (Å): 5.7276 5.5018 9.6052
angles (deg): 55.29 90.00 90.00
Sites, in units of the cell vectors:
O 0.9411 0.6468 0.5528
O 0.4620 0.7493 0.5553
Sm 0.3118 0.2677 0.2472
Ca 0.8022 0.7368 0.2513
Ca 0.1978 0.7368 0.7513
O 0.2133 0.8627 0.2449
Sm 0.6882 0.2677 0.7472
O 0.2871 0.1483 0.7551
O 0.5380 0.7493 0.0553
O 0.9514 0.2432 0.9430
Nb 0.7545 0.0014 0.4992
O 0.0589 0.6468 0.0528
O 0.7867 0.8627 0.7449
O 0.7129 0.1483 0.2551
O 0.5537 0.3419 0.4515
O 0.0486 0.2432 0.4430
Mg 0.2468 0.5017 0.4997
Nb 0.2455 0.0014 0.9992
O 0.4463 0.3419 0.9515
Mg 0.7532 0.5017 0.9997

[8]
Here is crystalline V8Ga3Mo4S24 at its relaxed geometry from the Materials Project. Energies are from PBE.

Properties
Total DFT energy (no corrections), eV/cell: -258.50
Symmetry: P1 (1)

a b c (Å): 6.8619 9.7554 11.9541
angles (deg): 113.69 106.32 90.99
Sites, in units of the cell vectors:
S 0.4112 0.0491 0.8440
S 0.9086 0.5406 0.8269
S 0.7453 0.3837 0.5114
V 0.7458 0.1358 0.4750
S 0.0917 0.2266 0.1826
S 0.0826 0.7229 0.1749
V 0.4625 0.2761 0.3337
S 0.6068 0.1962 0.6664
S 0.9400 0.5306 0.3346
S 0.0844 0.7091 0.6670
S 0.9087 0.0445 0.8174
S 0.2751 0.8637 0.9999
S 0.4186 0.0420 0.3336
S 0.7574 0.8955 0.5161
S 0.2607 0.3639 0.9954
S 0.5898 0.6949 0.6668
Mo 0.2070 0.6024 0.0024
V 0.6038 0.9939 0.1918
Ga 0.0045 0.0009 0.9999
S 0.0608 0.1977 0.6667
V 0.1280 0.9433 0.6664
S 0.5671 0.2058 0.1560
Ga 0.3381 0.3353 0.6673
S 0.7279 0.8633 0.9996
Mo 0.8633 0.2649 0.3338
S 0.2339 0.8723 0.4889
S 0.7347 0.3694 0.9956
V 0.4123 0.8018 0.8078
S 0.3961 0.5312 0.3343
S 0.4263 0.5620 0.8490
V 0.7910 0.6058 0.0011
V 0.9307 0.3238 0.8600
Ga 0.6720 0.6700 0.3347
S 0.2419 0.3790 0.4846
Mo 0.0707 0.4675 0.1361
S 0.5783 0.7137 0.1522
S 0.9225 0.0286 0.3337
Mo 0.5297 0.9312 0.6665
V 0.2705 0.6610 0.5260

[9]
Here is crystalline Tl4PbSe3 at its relaxed geometry from the Materials Project. Energies are from PBE.

Properties
Total DFT energy (no corrections), eV/cell: -107.49
Symmetry: P4/ncc (130)

a b c (Å): 8.6335 8.6335 13.2499
angles (deg): 90.00 90.00 90.00
Sites, in units of the cell vectors:
Se 0.1716 0.1716 0.2500
Pb 0.0000 0.5000 0.2109
Tl 0.6188 0.3284 0.5968
Tl 0.8812 0.8284 0.9032
Tl 0.8284 0.1188 0.0968
Se 0.1716 0.8284 0.7500
Se 0.6716 0.3284 0.2500
Pb 0.5000 0.0000 0.2891
Pb 0.0000 0.5000 0.7109
Se 0.5000 0.0000 0.0064
Tl 0.1716 0.1188 0.5968
Tl 0.6188 0.6716 0.0968
Pb 0.5000 0.0000 0.7891
Tl 0.6716 0.3812 0.9032
Se 0.3284 0.6716 0.2500
Tl 0.3812 0.6716 0.5968
Se 0.5000 0.0000 0.5064
Tl 0.8284 0.8812 0.5968
Se 0.8284 0.1716 0.7500
Tl 0.3812 0.3284 0.0968
Tl 0.1188 0.1716 0.9032
Se 0.0000 0.5000 0.9936
Se 0.8284 0.8284 0.2500
Tl 0.1188 0.8284 0.4032
Tl 0.3284 0.3812 0.4032
Se 0.3284 0.3284 0.7500
Se 0.0000 0.5000 0.4936
Tl 0.8812 0.1716 0.4032
Se 0.6716 0.6716 0.7500
Tl 0.6716 0.6188 0.4032
Tl 0.3284 0.6188 0.9032
Tl 0.1716 0.8812 0.0968

[10]
Here is crystalline KPO4 at its relaxed geometry from the Materials Project. Energies are from PBE.

Properties
Total DFT energy (no corrections), eV/cell: -69.91
Symmetry: I-42d (122)

a b c (Å): 6.8123 6.8123 6.8123
angles (deg): 105.21 105.21 118.38
Sites, in units of the cell vectors:
K 0.5000 0.5000 0.0000
O 0.7288 0.9165 0.9498
O 0.1665 0.4788 0.4498
O 0.0835 0.0333 0.8123
P 0.2500 0.7500 0.5000
O 0.0290 0.7167 0.5502
K 0.7500 0.2500 0.5000
O 0.2210 0.2712 0.1877
O 0.9667 0.7790 0.0502
O 0.5212 0.9710 0.6877
O 0.2833 0.8335 0.3123
P 0.0000 0.0000 0.0000

[11]
Here is crystalline LiBH16O10 at its relaxed geometry from the Materials Project. Energies are from PBE.

Properties
Total DFT energy (no corrections), eV/cell: -146.97
Symmetry: P1 (1)

a b c (Å): 6.0172 6.4994 6.6357
angles (deg): 61.73 89.73 91.02
Sites, in units of the cell vectors:
H 0.3213 0.5827 0.8340
H 0.2239 0.6896 0.2499
H 0.7840 0.0113 0.1406
O 0.3865 0.6758 0.6766
O 0.8094 0.4149 0.6120
H 0.7785 0.1636 0.8621
H 0.2929 0.9874 0.5486
O 0.8109 0.9853 0.4074
O 0.2779 0.9926 0.0323
H 0.2138 0.2524 0.0872
H 0.3203 0.6092 0.5814
O 0.5408 0.3371 0.3322
H 0.2225 0.0289 0.8803
O 0.2044 0.1243 0.5213
H 0.9572 0.5530 0.0231
H 0.9566 0.4470 0.5298
Li 0.7156 0.6767 0.6632
B 0.2921 0.3460 0.3352
H 0.9549 0.0419 0.4415
H 0.8049 0.7754 0.9785
O 0.2044 0.3943 0.1052
O 0.2111 0.5324 0.3841
H 0.4442 0.0044 0.0139
H 0.7006 0.1080 0.3856
H 0.6102 0.4518 0.1845
O 0.7300 0.0130 0.9969
H 0.7010 0.3843 0.5138
O 0.8119 0.6297 0.9629

[12]
Here is crystalline In2Au at its relaxed geometry from the Materials Project. Energies are from PBE.

Properties
Total DFT energy (no corrections), eV/cell: -9.46
Symmetry: Fm-3m (225)

a b c (Å): 4.7327 4.7327 4.7327
angles (deg): 60.00 60.00 60.00
Sites, in units of the cell vectors:
In 0.7500 0.7500 0.7500
Au 0.0000 0.0000 0.0000
In 0.2500 0.2500 0.2500

| no. | formation energy from the elements (eV/atom) |
| --- | --- |
| 1 | -1.891 |
| 2 | -0.665 |
| 3 | -2.700 |
| 4 | -0.184 |
| 5 | -0.420 |
| 6 | -1.440 |
| 7 | -3.408 |
| 8 | -1.184 |
| 9 | -0.580 |
| 10 | -1.898 |
| 11 | -1.482 |
| 12 | -0.229 |